(1)
Entry from Materials Project: a relaxed structure of BaLiV2Ni3H2O10 (PBE with a Hubbard U).

Values from the calculation:
The calculation puts the energy of formation from the pure elements at -1837 meV/atom. Its total moment is 0.263 μB per atom. The calculation puts the energy above the most stable polymorph in this dataset at 59.7 meV/atom. The calculation puts the volume at 223 Å³/f.u.

Cell: 6.018 6.012 7.838 Å, 70.58 67.57 59.92°
Fractional coordinates of all 19 atoms:
O  0.271  0.795  0.171
O  0.214  0.215  0.816
H  0.732  0.252  0.286
Ba  0.954  0.612  0.484
Li  0.131  0.050  0.682
O  0.331  0.850  0.488
O  0.763  0.795  0.171
O  0.720  0.724  0.833
O  0.689  0.122  0.502
H  0.298  0.677  0.729
O  0.222  0.692  0.863
O  0.753  0.215  0.817
Ni  0.993  0.004  0.010
O  0.778  0.300  0.144
V  0.410  0.933  0.247
V  0.583  0.081  0.751
Ni  0.994  0.497  0.996
O  0.277  0.272  0.174
Ni  0.511  0.497  0.996



(2)
Entry from Materials Project: a relaxed structure of BaLiV2Ni3H2O10 (PBE with a Hubbard U).

Values from the calculation:
The calculation puts the energy of formation from the pure elements at -1897 meV/atom. Its total moment is 0.263 μB per atom. The calculation puts the energy above the most stable polymorph in this dataset at 0.0 meV/atom. The calculation puts the volume at 217 Å³/f.u.

Cell: 5.971 5.950 8.304 Å, 59.34 68.75 59.87°
Fractional coordinates of all 19 atoms:
H  0.258  0.745  0.737
V  0.453  0.834  0.255
O  0.192  0.757  0.861
Ni  0.992  0.022  0.994
O  0.708  0.319  0.804
O  0.170  0.318  0.806
O  0.367  0.758  0.493
Li  0.822  0.680  0.692
H  0.765  0.175  0.292
O  0.668  0.133  0.530
O  0.286  0.712  0.199
O  0.660  0.793  0.892
Ni  0.990  0.504  0.013
O  0.319  0.209  0.153
O  0.801  0.243  0.152
Ni  0.495  0.505  0.010
V  0.537  0.181  0.745
Ba  0.113  0.299  0.477
O  0.799  0.710  0.202



(3)
Entry from Materials Project: a relaxed structure of BaLiV2Ni3H2O10 (PBE with a Hubbard U).

Values from the calculation:
The calculation puts the energy of formation from the pure elements at -1835 meV/atom. Its total moment is 0.263 μB per atom. The calculation puts the energy above the most stable polymorph in this dataset at 61.7 meV/atom. The calculation puts the volume at 224 Å³/f.u.

Cell: 5.893 5.948 8.093 Å, 68.92 68.65 60.31°
Fractional coordinates of all 19 atoms:
O  0.245  0.218  0.817
O  0.793  0.292  0.122
V  0.600  0.096  0.703
O  0.670  0.189  0.471
O  0.755  0.782  0.183
H  0.255  0.750  0.741
Ni  0.000  0.500  0.000
V  0.400  0.904  0.297
O  0.719  0.218  0.817
Li  0.500  0.000  0.000
O  0.281  0.252  0.186
O  0.281  0.782  0.183
Ni  0.500  0.500  0.000
O  0.330  0.811  0.529
O  0.207  0.708  0.878
O  0.719  0.748  0.814
Ba  0.000  0.500  0.500
H  0.745  0.250  0.259
Ni  0.000  0.000  0.000



(4)
Entry from Materials Project: a relaxed structure of BaLiV2Ni3H2O10 (PBE with a Hubbard U).

Values from the calculation:
The calculation puts the energy of formation from the pure elements at -1880 meV/atom. Its total moment is 0.263 μB per atom. The calculation puts the energy above the most stable polymorph in this dataset at 16.8 meV/atom. The calculation puts the volume at 230 Å³/f.u.

Cell: 6.156 6.219 7.816 Å, 68.49 67.92 57.95°
Fractional coordinates of all 19 atoms:
O  0.717  0.225  0.833
O  0.742  0.778  0.175
H  0.267  0.737  0.721
O  0.209  0.710  0.866
O  0.249  0.226  0.810
V  0.379  0.880  0.285
O  0.789  0.300  0.120
O  0.702  0.162  0.501
V  0.597  0.092  0.739
Li  0.602  0.133  0.110
Ba  0.945  0.515  0.483
O  0.246  0.243  0.202
O  0.388  0.773  0.521
Ni  0.507  0.560  0.976
Ni  0.042  0.013  0.975
Ni  0.005  0.505  0.008
O  0.251  0.766  0.177
O  0.730  0.748  0.812
H  0.758  0.259  0.261



(5)
Entry from Materials Project: a relaxed structure of BaLiV2Ni3H2O10 (PBE with a Hubbard U).

Values from the calculation:
The calculation puts the energy of formation from the pure elements at -1847 meV/atom. Its total moment is 0.266 μB per atom. The calculation puts the energy above the most stable polymorph in this dataset at 49.7 meV/atom. The calculation puts the volume at 222 Å³/f.u.

Cell: 6.028 5.998 7.899 Å, 65.90 68.12 60.50°
Fractional coordinates of all 19 atoms:
Li  0.524  0.794  0.642
Ni  0.518  0.501  0.994
O  0.297  0.263  0.174
O  0.730  0.734  0.823
Ba  0.096  0.470  0.492
H  0.736  0.223  0.282
V  0.430  0.910  0.244
Ni  0.003  0.505  0.004
O  0.229  0.246  0.833
H  0.196  0.765  0.729
V  0.587  0.107  0.745
Ni  0.007  0.021  0.991
O  0.740  0.261  0.799
O  0.331  0.804  0.489
O  0.772  0.780  0.178
O  0.797  0.283  0.141
O  0.590  0.134  0.510
O  0.298  0.779  0.162
O  0.211  0.734  0.858



(6)
Entry from Materials Project: a relaxed structure of BaMgV2Ni3H2O10 (PBE with a Hubbard U).

Values from the calculation:
The calculation puts the energy of formation from the pure elements at -1799 meV/atom. Its total moment is 0.222 μB per atom. The calculation puts the energy above the most stable polymorph in this dataset at 32.6 meV/atom. The calculation puts the volume at 228 Å³/f.u.

Cell: 6.076 5.959 8.112 Å, 64.33 69.65 61.17°
Fractional coordinates of all 19 atoms:
Mg  0.551  0.749  0.658
Ni  0.511  0.502  0.021
V  0.547  0.143  0.759
O  0.314  0.265  0.146
O  0.802  0.763  0.171
O  0.699  0.756  0.847
O  0.813  0.262  0.147
H  0.764  0.196  0.284
O  0.208  0.263  0.827
H  0.146  0.804  0.733
O  0.587  0.117  0.530
O  0.298  0.759  0.169
Ba  0.122  0.412  0.456
O  0.338  0.824  0.485
O  0.202  0.763  0.848
Ni  0.005  0.508  0.006
Ni  0.017  0.004  0.007
O  0.713  0.331  0.757
V  0.456  0.891  0.241



(7)
Entry from Materials Project: a relaxed structure of BaMgV2Ni3H2O10 (PBE with a Hubbard U).

Values from the calculation:
The calculation puts the energy of formation from the pure elements at -1831 meV/atom. Its total moment is 0.210 μB per atom. The calculation puts the energy above the most stable polymorph in this dataset at 0.0 meV/atom. The calculation puts the volume at 231 Å³/f.u.

Cell: 6.048 5.953 8.260 Å, 67.29 68.53 59.47°
Fractional coordinates of all 19 atoms:
H  0.241  0.770  0.748
O  0.713  0.745  0.828
V  0.604  0.109  0.683
V  0.396  0.891  0.317
O  0.715  0.219  0.813
O  0.747  0.781  0.187
Ba  0.000  0.500  0.500
Ni  0.000  0.500  0.000
O  0.294  0.869  0.544
O  0.706  0.131  0.456
Ni  0.000  0.000  0.000
O  0.285  0.781  0.187
O  0.287  0.255  0.172
O  0.204  0.709  0.884
H  0.759  0.230  0.252
Ni  0.500  0.500  0.000
O  0.796  0.291  0.116
O  0.253  0.219  0.813
Mg  0.500  0.000  0.000



(8)
Entry from Materials Project: a relaxed structure of BaMn9V6H2O26 (PBE with a Hubbard U).

Values from the calculation:
The calculation puts the energy of formation from the pure elements at -2288 meV/atom. Its total moment is 1.023 μB per atom. The calculation puts the volume at 553 Å³/f.u.

Cell: 13.026 13.026 13.026 Å, 90.00 90.00 90.00°
Fractional coordinates of all 176 atoms:
O  0.180  0.509  0.830
O  0.833  0.329  0.343
Mn  0.695  0.506  0.840
O  0.332  0.503  0.994
Mn  0.660  0.195  0.506
O  0.846  0.654  0.346
V  0.927  0.592  0.745
O  0.003  0.506  0.668
O  0.997  0.494  0.332
O  0.991  0.330  0.180
O  0.670  0.820  0.009
O  0.330  0.320  0.491
O  0.170  0.143  0.479
Mn  0.805  0.006  0.840
O  0.329  0.157  0.333
Mn  0.175  0.825  0.325
O  0.503  0.506  0.832
O  0.820  0.491  0.170
O  0.154  0.154  0.154
Ba  0.500  0.000  0.000
V  0.755  0.427  0.592
O  0.357  0.521  0.670
O  0.170  0.680  0.991
Mn  0.340  0.695  0.994
O  0.671  0.657  0.167
O  0.979  0.330  0.857
Mn  0.195  0.506  0.660
O  0.168  0.497  0.494
O  0.833  0.171  0.843
O  0.654  0.346  0.846
O  0.497  0.006  0.668
Mn  0.825  0.175  0.675
V  0.592  0.745  0.927
O  0.997  0.006  0.832
O  0.670  0.357  0.521
O  0.667  0.671  0.843
O  0.857  0.521  0.830
H  0.698  0.198  0.302
O  0.491  0.330  0.320
Ba  0.500  0.500  0.500
O  0.829  0.343  0.667
V  0.908  0.255  0.427
Mn  0.195  0.994  0.160
O  0.680  0.509  0.670
O  0.479  0.330  0.643
O  0.991  0.170  0.680
V  0.408  0.255  0.073
O  0.494  0.332  0.997
Mn  0.305  0.006  0.660
Mn  0.675  0.675  0.675
O  0.006  0.832  0.997
O  0.330  0.643  0.479
O  0.671  0.843  0.667
O  0.830  0.180  0.509
H  0.802  0.802  0.802
H  0.198  0.198  0.198
O  0.333  0.329  0.157
V  0.573  0.408  0.245
O  0.346  0.846  0.654
Mn  0.325  0.175  0.825
O  0.329  0.343  0.833
O  0.332  0.997  0.494
O  0.668  0.497  0.006
O  0.846  0.846  0.846
O  0.357  0.979  0.170
O  0.832  0.503  0.506
O  0.009  0.830  0.320
O  0.170  0.357  0.979
O  0.006  0.668  0.497
O  0.657  0.333  0.171
O  0.154  0.346  0.654
O  0.830  0.320  0.009
Mn  0.840  0.805  0.006
O  0.021  0.670  0.143
O  0.857  0.979  0.330
O  0.167  0.671  0.657
Mn  0.675  0.825  0.175
Mn  0.840  0.695  0.506
Mn  0.340  0.805  0.494
O  0.820  0.009  0.670
V  0.073  0.408  0.255
V  0.427  0.592  0.755
Mn  0.994  0.340  0.695
O  0.346  0.654  0.154
V  0.573  0.092  0.745
Mn  0.506  0.840  0.695
O  0.506  0.832  0.503
Mn  0.805  0.494  0.340
O  0.843  0.833  0.171
H  0.302  0.698  0.198
Ba  0.000  0.500  0.000
O  0.157  0.333  0.329
V  0.092  0.755  0.073
Mn  0.000  0.500  0.500
O  0.330  0.180  0.991
O  0.670  0.143  0.021
O  0.171  0.657  0.333
Mn  0.500  0.000  0.500
Mn  0.660  0.305  0.006
O  0.143  0.021  0.670
O  0.180  0.991  0.330
O  0.643  0.479  0.330
O  0.829  0.157  0.167
V  0.255  0.073  0.408
O  0.979  0.170  0.357
Mn  0.160  0.195  0.994
H  0.302  0.802  0.698
O  0.654  0.154  0.346
Mn  0.000  0.000  0.000
O  0.320  0.491  0.330
V  0.755  0.073  0.092
O  0.320  0.009  0.830
Mn  0.305  0.494  0.160
O  0.494  0.168  0.497
Mn  0.500  0.500  0.000
H  0.802  0.698  0.302
Mn  0.175  0.675  0.825
O  0.491  0.170  0.820
O  0.657  0.167  0.671
O  0.333  0.171  0.657
O  0.643  0.021  0.830
O  0.021  0.830  0.643
V  0.073  0.092  0.755
H  0.198  0.302  0.698
O  0.667  0.829  0.343
O  0.680  0.991  0.170
V  0.427  0.908  0.255
O  0.479  0.170  0.143
O  0.167  0.829  0.157
V  0.255  0.427  0.908
O  0.830  0.643  0.021
Mn  0.006  0.660  0.305
O  0.330  0.857  0.979
Mn  0.494  0.160  0.305
Mn  0.494  0.340  0.805
Mn  0.160  0.305  0.494
O  0.843  0.667  0.671
O  0.830  0.857  0.521
O  0.506  0.668  0.003
O  0.503  0.994  0.332
O  0.521  0.670  0.357
V  0.408  0.245  0.573
H  0.698  0.302  0.802
O  0.003  0.994  0.168
O  0.994  0.168  0.003
Mn  0.325  0.325  0.325
V  0.592  0.755  0.427
V  0.245  0.927  0.908
V  0.908  0.245  0.927
O  0.170  0.820  0.491
V  0.745  0.573  0.092
O  0.171  0.843  0.833
Mn  0.506  0.660  0.195
Mn  0.825  0.325  0.175
V  0.245  0.573  0.408
V  0.092  0.745  0.573
O  0.157  0.167  0.829
O  0.168  0.003  0.994
O  0.832  0.997  0.006
O  0.497  0.494  0.168
O  0.509  0.830  0.180
O  0.143  0.479  0.170
V  0.745  0.927  0.592
O  0.994  0.332  0.503
O  0.521  0.830  0.857
O  0.343  0.667  0.829
Mn  0.006  0.840  0.805
O  0.670  0.680  0.509
Mn  0.994  0.160  0.195
O  0.509  0.670  0.680
O  0.009  0.670  0.820
Mn  0.695  0.994  0.340
O  0.343  0.833  0.329
Ba  0.000  0.000  0.500
O  0.668  0.003  0.506
V  0.927  0.908  0.245



(9)
Entry from Materials Project: a relaxed structure of BaV2Ni3H2O10 (PBE with a Hubbard U).

Values from the calculation:
The calculation puts the energy of formation from the pure elements at -2018 meV/atom. Its total moment is 0.333 μB per atom. The calculation puts the volume at 216 Å³/f.u.

Cell: 5.943 5.966 7.830 Å, 67.69 67.70 60.13°
Fractional coordinates of all 18 atoms:
O  0.345  0.814  0.496
Ni  0.000  0.000  0.000
Ba  0.000  0.500  0.500
O  0.770  0.777  0.176
H  0.266  0.745  0.723
V  0.417  0.911  0.255
O  0.213  0.710  0.865
O  0.724  0.737  0.815
O  0.277  0.777  0.176
H  0.734  0.255  0.277
Ni  0.000  0.500  0.000
O  0.276  0.263  0.185
V  0.583  0.089  0.745
O  0.787  0.290  0.135
O  0.230  0.223  0.824
O  0.655  0.186  0.504
O  0.723  0.223  0.824
Ni  0.500  0.500  0.000



- Which of these has the lowest V?
  BaV2Ni3H2O10



- Which of these has the highest total moment?
  BaMn9V6H2O26